# Lu2ZnAg | Materials Project | PBE | relaxed
data_Lu2ZnAg
_chemical_formula_sum 'Lu2 Zn1 Ag1'
_space_group_name_H-M_alt 'P 1'
_space_group_IT_number 1
_cell_length_a 4.998
_cell_length_b 4.998
_cell_length_c 4.998
_cell_angle_alpha 60.00
_cell_angle_beta 60.00
_cell_angle_gamma 60.00
loop_
_space_group_symop_operation_xyz
'x,y,z'
loop_
_atom_site_label
_atom_site_type_symbol
_atom_site_fract_x
_atom_site_fract_y
_atom_site_fract_z
Lu1 Lu 0.250 0.250 0.250
Lu2 Lu 0.750 0.750 0.750
Zn1 Zn 0.000 0.000 0.000
Ag1 Ag 0.500 0.500 0.500
# * E_form: -135 kJ/mol of formula units
# * density: 9.8 g cm⁻³